# 1
## CaH6C2N4O4 (PBE)

Data for a relaxed structure of CaH6C2N4O4.

Calculated values
Corrected total energy (MP2020 scheme)   -6.53 eV/atom
M_tot   0.00 μB/cell
ΔH_f (0 K)   -1.004 eV/atom
Final energy   -433.1 eV/cell

```
data_CaH6C2N4O4
_space_group_name_H-M_alt 'P 1 21/c 1'
_space_group_IT_number 14
_space_group_name_Hall '-P 2ybc'
_cell_length_a 8.373
_cell_length_b 9.636
_cell_length_c 9.431
_cell_angle_alpha 90.00
_cell_angle_beta 113.16
_cell_angle_gamma 90.00
loop_
_atom_site_label
_atom_site_fract_x
_atom_site_fract_y
_atom_site_fract_z
_atom_site_occupancy
Ca1 0.201 0.025 0.186 1
H1 0.139 0.166 0.602 1
H2 0.186 0.559 0.009 1
H3 0.198 0.621 0.397 1
H4 0.350 0.000 0.939 1
H5 0.351 0.046 0.533 1
H6 0.447 0.746 0.474 1
C1 0.070 0.246 0.383 1
C2 0.465 0.727 0.699 1
N1 0.124 0.141 0.492 1
N2 0.221 0.029 0.469 1
N3 0.301 0.576 0.485 1
N4 0.431 0.678 0.552 1
O1 0.032 0.138 0.930 1
O2 0.057 0.221 0.247 1
O3 0.405 0.660 0.785 1
O4 0.441 0.165 0.260 1
```

# 2
## ZnFe (PBE)

Data for a relaxed structure of ZnFe.

Calculated values
ΔH_f (0 K)   -0.009 eV/atom
Final energy   -9.7 eV/cell

```
data_ZnFe
_space_group_name_H-M_alt 'P 4/m m m'
_space_group_IT_number 123
_space_group_name_Hall '-P 4 2'
_cell_length_a 2.573
_cell_length_b 2.573
_cell_length_c 3.884
_cell_angle_alpha 90.00
_cell_angle_beta 90.00
_cell_angle_gamma 90.00
loop_
_atom_site_label
_atom_site_fract_x
_atom_site_fract_y
_atom_site_fract_z
_atom_site_occupancy
Zn1 0.000 0.000 0.000 1
Fe1 0.500 0.500 0.500 1
```

# 3
## PmDyHg2 (PBE)

Data for a relaxed structure of PmDyHg2.

Calculated values
ΔH_f (0 K)   -0.469 eV/atom
Final energy   -47.4 eV/cell

```
data_PmDyHg2
_space_group_name_H-M_alt 'F m -3 m'
_space_group_IT_number 225
_space_group_name_Hall '-F 4 2 3'
_cell_length_a 7.552
_cell_length_b 7.552
_cell_length_c 7.552
_cell_angle_alpha 90.00
_cell_angle_beta 90.00
_cell_angle_gamma 90.00
loop_
_atom_site_label
_atom_site_fract_x
_atom_site_fract_y
_atom_site_fract_z
_atom_site_occupancy
Pm1 0.000 0.000 0.000 1
Dy1 0.000 0.000 0.500 1
Hg1 0.250 0.250 0.250 1
```

Q: Number 3 is which compound?
A: PmDyHg2

Q: Which of these has the highest ΔH_f (0 K)?
A: ZnFe

Q: The highest final energy belongs to which entry?
A: ZnFe